Entry 1:
First-principles (PBE) data for a relaxed structure of La14C14Cl9, as listed in Materials Project.

Summary:
**Formation enthalpy at 0 K**: -1.25 eV per atom

Unit cell a=7.825 b=30.031 c=6.979 alpha=90.00 beta=104.42 gamma=90.00
Space group Pc (No. 7)
Asymmetric unit:
1 La 0.000 0.031 0.500 x2
2 La 0.012 0.397 0.016 x2
3 La 0.074 0.104 0.006 x2
4 La 0.082 0.329 0.513 x2
5 La 0.150 0.171 0.494 x2
6 La 0.153 0.257 0.001 x2
7 La 0.561 0.456 0.786 x2
8 La 0.619 0.043 0.768 x2
9 La 0.633 0.386 0.277 x2
10 La 0.694 0.111 0.255 x2
11 La 0.703 0.319 0.768 x2
12 La 0.768 0.185 0.765 x2
13 La 0.774 0.247 0.268 x2
14 La 0.941 0.468 0.520 x2
15 C 0.005 0.235 0.611 x2
16 C 0.710 0.480 0.176 x2
17 C 0.762 0.407 0.672 x2
18 C 0.770 0.020 0.154 x2
19 C 0.813 0.449 0.126 x2
20 C 0.824 0.095 0.660 x2
21 C 0.837 0.336 0.173 x2
22 C 0.878 0.051 0.104 x2
23 C 0.880 0.380 0.614 x2
24 C 0.891 0.164 0.158 x2
25 C 0.901 0.266 0.662 x2
26 C 0.942 0.121 0.602 x2
27 C 0.953 0.309 0.113 x2
28 C 0.999 0.195 0.110 x2
29 Cl 0.214 0.473 0.917 x2
30 Cl 0.268 0.027 0.897 x2
31 Cl 0.270 0.413 0.415 x2
32 Cl 0.334 0.083 0.393 x2
33 Cl 0.358 0.358 0.893 x2
34 Cl 0.436 0.133 0.870 x2
35 Cl 0.443 0.303 0.371 x2
36 Cl 0.501 0.189 0.368 x2
37 Cl 0.502 0.244 0.872 x2


Entry 2:
First-principles (PBE) data for a relaxed structure of La11C11Cl7, as listed in Materials Project.

Summary:
**Formation enthalpy at 0 K**: -1.19 eV per atom

Unit cell a=7.824 b=47.243 c=6.947 alpha=90.00 beta=104.27 gamma=90.00
Space group P2_1/c (No. 14)
Asymmetric unit:
1 La 0.057 0.230 0.386 x4
2 La 0.110 0.589 0.365 x4
3 La 0.114 0.549 0.868 x4
4 La 0.130 0.185 0.884 x4
5 La 0.180 0.635 0.864 x4
6 La 0.191 0.503 0.376 x4
7 La 0.200 0.141 0.380 x4
8 La 0.250 0.678 0.357 x4
9 La 0.266 0.041 0.363 x4
10 La 0.270 0.095 0.870 x4
11 La 0.322 0.722 0.848 x4
12 C 0.002 0.673 0.018 x4
13 C 0.007 0.036 0.026 x4
14 C 0.017 0.101 0.530 x4
15 C 0.046 0.645 0.460 x4
16 C 0.059 0.008 0.472 x4
17 C 0.069 0.717 0.508 x4
18 C 0.070 0.128 0.981 x4
19 C 0.116 0.056 0.978 x4
20 C 0.120 0.690 0.961 x4
21 C 0.121 0.081 0.479 x4
22 C 0.173 0.738 0.458 x4
23 Cl 0.331 0.233 0.783 x4
24 Cl 0.383 0.587 0.763 x4
25 Cl 0.384 0.552 0.265 x4
26 Cl 0.389 0.194 0.282 x4
27 Cl 0.440 0.625 0.262 x4
28 Cl 0.450 0.516 0.761 x4
29 Cl 0.476 0.160 0.760 x4


Entry 3:
First-principles (PBE) data for a relaxed structure of La4C2Cl5, as listed in Materials Project.

Summary:
**Formation enthalpy at 0 K**: -1.97 eV per atom

Unit cell a=3.980 b=7.977 c=17.545 alpha=90.00 beta=90.00 gamma=90.00
Space group Immm (No. 71)
Asymmetric unit:
1 La 0.000 0.000 0.172 x4
2 La 0.000 0.287 0.500 x4
3 C 0.000 0.000 0.040 x4
4 Cl 0.000 0.228 0.333 x8
5 Cl 0.000 0.500 0.000 x2


Entry 4:
First-principles (PBE) data for a relaxed structure of La8C8Cl5, as listed in Materials Project.

Summary:
**Formation enthalpy at 0 K**: -1.19 eV per atom

Unit cell a=7.824 b=17.179 c=6.922 alpha=90.00 beta=104.32 gamma=90.00
Space group P2_1/c (No. 14)
Asymmetric unit:
1 La 0.086 0.194 0.125 x4
2 La 0.157 0.069 0.624 x4
3 La 0.225 0.550 0.618 x4
4 La 0.294 0.674 0.108 x4
5 C 0.022 0.038 0.222 x4
6 C 0.041 0.660 0.767 x4
7 C 0.093 0.586 0.222 x4
8 C 0.146 0.716 0.718 x4
9 Cl 0.361 0.203 0.526 x4
10 Cl 0.416 0.097 0.024 x4
11 Cl 0.500 0.000 0.500 x2


Entry 5:
First-principles (PBE) data for a relaxed structure of LaCN2Cl, as listed in Materials Project.

Summary:
**Formation enthalpy at 0 K**: -1.37 eV per atom

Unit cell a=5.364 b=4.038 c=7.630 alpha=90.00 beta=100.34 gamma=90.00
Space group P2_1/m (No. 11)
Asymmetric unit:
1 La 0.177 0.250 0.236 x2
2 C 0.347 0.250 0.858 x2
3 N 0.123 0.250 0.882 x2
4 N 0.432 0.750 0.161 x2
5 Cl 0.255 0.750 0.542 x2


Entry 6:
First-principles (PBE) data for a relaxed structure of LaC2ClO7, as listed in Materials Project.

Summary:
**Formation enthalpy at 0 K**: -1.33 eV per atom

Unit cell a=6.086 b=15.087 c=9.101 alpha=90.00 beta=105.11 gamma=90.00
Space group P2_1/c (No. 14)
Asymmetric unit:
1 La 0.163 0.116 0.175 x4
2 C 0.267 0.576 0.937 x4
3 C 0.404 0.532 0.456 x4
4 Cl 0.301 0.202 0.640 x4
5 O 0.095 0.707 0.628 x4
6 O 0.140 0.142 0.388 x4
7 O 0.167 0.552 0.815 x4
8 O 0.193 0.718 0.526 x4
9 O 0.207 0.520 0.476 x4
10 O 0.369 0.600 0.058 x4
11 O 0.456 0.590 0.372 x4


Entry 7:
First-principles (PBE) data for a relaxed structure of LiC6N9Cl, as listed in Materials Project.

Summary:
**Formation enthalpy at 0 K**: 0.21 eV per atom

Unit cell a=14.058 b=8.132 c=7.471 alpha=90.00 beta=90.00 gamma=90.00
Space group Cmc2_1 (No. 36)
Asymmetric unit:
1 Li 0.000 0.163 0.000 x4
2 C 0.084 0.411 0.493 x8
3 C 0.172 0.344 0.992 x8
4 C 0.248 0.097 0.992 x8
5 N 0.000 0.329 0.502 x4
6 N 0.087 0.424 0.988 x8
7 N 0.166 0.179 0.991 x8
8 N 0.166 0.325 0.493 x8
9 N 0.247 0.070 0.495 x8
10 Cl 0.000 0.083 0.311 x4


Entry 8:
First-principles (PBE) data for a relaxed structure of Mo2P4C14SNCl4, as listed in Materials Project.

Summary:
**Formation enthalpy at 0 K**: 1.04 eV per atom

Unit cell a=8.777 b=9.674 c=18.375 alpha=99.13 beta=102.26 gamma=102.06
Space group P-1 (No. 2)
Asymmetric unit:
1 Mo 0.147 0.130 0.250 x2
2 Mo 0.260 0.373 0.192 x2
3 P 0.182 0.282 0.398 x2
4 P 0.224 0.949 0.328 x2
5 P 0.335 0.169 0.104 x2
6 P 0.499 0.430 0.779 x2
7 C 0.029 0.320 0.440 x2
8 C 0.034 0.459 0.477 x2
9 C 0.116 0.733 0.093 x2
10 C 0.129 0.858 0.134 x2
11 C 0.158 0.453 0.441 x2
12 C 0.224 0.381 0.774 x2
13 C 0.297 0.007 0.428 x2
14 C 0.303 0.361 0.715 x2
15 C 0.337 0.159 0.996 x2
16 C 0.349 0.342 0.821 x2
17 C 0.427 0.974 0.387 x2
18 C 0.449 0.824 0.888 x2
19 C 0.450 0.000 0.465 x2
20 C 0.484 0.215 0.045 x2
21 S 0.411 0.277 0.280 x2
22 N 0.143 0.979 0.176 x2
23 Cl 0.022 0.759 0.831 x2
24 Cl 0.077 0.000 0.708 x2
25 Cl 0.183 0.566 0.259 x2
26 Cl 0.225 0.420 0.069 x2


Q: Which formula does entry 2 have?
A: La11C11Cl7


Q: Look up the formation enthalpy at 0 K of the fourth one.
A: -1.19 eV per atom